[1]
Computed, not measured: a relaxed structure of Na3Ca2Hf2P3S3O24 at the PBE-GGA level of DFT.

Cell lengths 9.066, 9.030, 23.506 Å; angles 90.02, 89.86, 119.98 degrees
Fractional coordinates of all 111 atoms:
Na: 0.663 0.683 0.084
Na: 0.331 0.294 0.916
Na: 0.330 0.036 0.416
Na: 0.992 0.002 0.501
Na: 0.008 0.994 0.001
Na: 0.686 0.335 0.832
Na: 0.684 0.348 0.331
Na: 0.308 0.653 0.164
Na: 0.335 0.680 0.663
Ca: 0.995 0.001 0.344
Ca: 0.992 0.991 0.843
Ca: 0.675 0.338 0.985
Ca: 0.667 0.335 0.485
Ca: 0.318 0.665 0.024
Ca: 0.333 0.669 0.525
Hf: 0.008 0.001 0.656
Hf: 0.012 0.006 0.156
Hf: 0.658 0.326 0.685
Hf: 0.665 0.336 0.185
Hf: 0.334 0.662 0.308
Hf: 0.334 0.671 0.808
P: 0.305 0.002 0.253
P: 0.700 0.700 0.248
P: 0.996 0.301 0.250
P: 0.302 0.302 0.753
P: 0.996 0.693 0.749
P: 0.701 0.001 0.749
P: 0.361 0.039 0.584
P: 0.959 0.638 0.088
P: 0.366 0.324 0.084
S: 0.958 0.322 0.588
S: 0.679 0.638 0.588
S: 0.680 0.039 0.088
S: 0.620 0.667 0.916
S: 0.044 0.377 0.912
S: 0.335 0.962 0.913
S: 0.621 0.955 0.414
S: 0.335 0.375 0.414
S: 0.045 0.666 0.413
O: 0.248 0.040 0.309
O: 0.804 0.765 0.302
O: 0.958 0.202 0.305
O: 0.247 0.207 0.809
O: 0.954 0.752 0.804
O: 0.801 0.043 0.804
O: 0.795 0.970 0.699
O: 0.174 0.202 0.704
O: 0.028 0.820 0.699
O: 0.787 0.818 0.196
O: 0.027 0.207 0.200
O: 0.177 0.974 0.204
O: 0.859 0.336 0.636
O: 0.487 0.157 0.631
O: 0.671 0.528 0.637
O: 0.852 0.518 0.138
O: 0.664 0.133 0.137
O: 0.490 0.331 0.131
O: 0.424 0.296 0.025
O: 0.858 0.573 0.033
O: 0.701 0.131 0.034
O: 0.423 0.124 0.526
O: 0.704 0.571 0.534
O: 0.869 0.300 0.534
O: 0.540 0.673 0.970
O: 0.138 0.459 0.965
O: 0.330 0.871 0.965
O: 0.537 0.864 0.467
O: 0.328 0.461 0.466
O: 0.139 0.676 0.466
O: 0.144 0.661 0.362
O: 0.515 0.854 0.363
O: 0.336 0.476 0.363
O: 0.144 0.482 0.861
O: 0.335 0.861 0.862
O: 0.512 0.664 0.866
O: 0.035 0.825 0.411
O: 0.793 0.979 0.411
O: 0.184 0.200 0.413
O: 0.035 0.208 0.909
O: 0.184 0.985 0.912
O: 0.792 0.815 0.912
O: 0.973 0.165 0.597
O: 0.184 0.025 0.597
O: 0.832 0.813 0.596
O: 0.970 0.816 0.099
O: 0.833 0.019 0.095
O: 0.185 0.169 0.097
O: 0.667 0.149 0.735
O: 0.482 0.332 0.737
O: 0.849 0.513 0.734
O: 0.664 0.515 0.236
O: 0.847 0.332 0.236
O: 0.484 0.150 0.237
O: 0.621 0.502 0.912
O: 0.875 0.361 0.911
O: 0.492 0.133 0.910
O: 0.622 0.121 0.412
O: 0.491 0.361 0.412
O: 0.875 0.512 0.412
O: 0.366 0.495 0.087
O: 0.136 0.659 0.089
O: 0.529 0.865 0.087
O: 0.346 0.863 0.589
O: 0.523 0.650 0.589
O: 0.129 0.474 0.589
O: 0.317 0.835 0.256
O: 0.520 0.684 0.255
O: 0.162 0.481 0.255
O: 0.318 0.482 0.756
O: 0.163 0.682 0.755
O: 0.521 0.836 0.755

## Properties
- Crystal system: triclinic
- Magnetic moment: 0.00 μB per formula unit
- Space-group type: P1 (1)
- DFT formation energy: -2.82 eV per atom
- Uncorrected energy: -7.112 eV/atom

***

[2]
Computed, not measured: a relaxed structure of NaCaHf3P3S3O24 at the PBE-GGA level of DFT.

Cell lengths 8.939, 8.941, 23.288 Å; angles 89.98, 90.12, 120.09 degrees
Fractional coordinates of all 105 atoms:
Na: 0.653 0.331 0.832
Na: 0.674 0.329 0.331
Na: 0.330 0.675 0.166
Ca: 0.660 0.337 0.687
Ca: 0.671 0.331 0.185
Ca: 0.332 0.672 0.315
Hf: 0.994 0.994 0.359
Hf: 0.006 0.005 0.861
Hf: 0.000 0.001 0.646
Hf: 0.995 0.996 0.139
Hf: 0.675 0.335 0.980
Hf: 0.674 0.343 0.484
Hf: 0.335 0.672 0.016
Hf: 0.341 0.675 0.517
Hf: 0.333 0.660 0.813
P: 0.282 0.285 0.753
P: 0.665 0.630 0.584
P: 0.964 0.624 0.083
P: 0.661 0.037 0.083
P: 0.620 0.661 0.916
P: 0.044 0.382 0.916
P: 0.342 0.958 0.914
P: 0.626 0.968 0.416
P: 0.038 0.662 0.416
S: 0.281 0.002 0.250
S: 0.717 0.717 0.250
S: 0.002 0.281 0.250
S: 0.007 0.720 0.753
S: 0.714 0.995 0.753
S: 0.965 0.336 0.583
S: 0.371 0.038 0.583
S: 0.374 0.337 0.082
S: 0.337 0.373 0.417
O: 0.186 0.005 0.303
O: 0.817 0.811 0.303
O: 0.998 0.181 0.303
O: 0.181 0.170 0.805
O: 0.984 0.807 0.803
O: 0.820 0.011 0.803
O: 0.796 0.974 0.699
O: 0.174 0.195 0.697
O: 0.023 0.821 0.699
O: 0.812 0.818 0.198
O: 0.005 0.186 0.198
O: 0.182 0.998 0.198
O: 0.898 0.372 0.634
O: 0.476 0.102 0.634
O: 0.624 0.520 0.637
O: 0.898 0.521 0.137
O: 0.618 0.099 0.137
O: 0.475 0.373 0.134
O: 0.457 0.308 0.032
O: 0.844 0.535 0.030
O: 0.688 0.156 0.030
O: 0.454 0.152 0.532
O: 0.699 0.539 0.532
O: 0.847 0.301 0.533
O: 0.536 0.690 0.968
O: 0.156 0.465 0.969
O: 0.312 0.846 0.968
O: 0.537 0.846 0.468
O: 0.307 0.456 0.468
O: 0.156 0.689 0.469
O: 0.099 0.617 0.363
O: 0.522 0.903 0.362
O: 0.376 0.475 0.366
O: 0.128 0.497 0.862
O: 0.370 0.872 0.862
O: 0.503 0.630 0.862
O: 0.021 0.826 0.408
O: 0.808 0.986 0.409
O: 0.180 0.199 0.410
O: 0.021 0.202 0.906
O: 0.179 0.975 0.906
O: 0.798 0.820 0.905
O: 0.980 0.177 0.591
O: 0.198 0.021 0.591
O: 0.829 0.811 0.594
O: 0.983 0.807 0.091
O: 0.827 0.024 0.091
O: 0.200 0.179 0.090
O: 0.697 0.149 0.748
O: 0.460 0.303 0.752
O: 0.856 0.545 0.749
O: 0.705 0.547 0.250
O: 0.844 0.293 0.252
O: 0.451 0.160 0.251
O: 0.638 0.499 0.925
O: 0.862 0.362 0.924
O: 0.500 0.141 0.924
O: 0.655 0.150 0.432
O: 0.485 0.343 0.429
O: 0.852 0.509 0.430
O: 0.345 0.485 0.072
O: 0.148 0.654 0.071
O: 0.511 0.850 0.071
O: 0.342 0.862 0.570
O: 0.513 0.656 0.567
O: 0.138 0.482 0.569
O: 0.294 0.845 0.249
O: 0.548 0.705 0.250
O: 0.160 0.450 0.250
O: 0.292 0.462 0.760
O: 0.168 0.713 0.759
O: 0.542 0.836 0.758

## Properties
- Crystal system: triclinic
- Magnetic moment: 0.00 μB per formula unit
- Space-group type: P1 (1)
- DFT formation energy: -2.88 eV per atom
- Uncorrected energy: -7.572 eV/atom

***

[3]
Computed, not measured: a relaxed structure of Na5Ca3HfP3S3O24 at the PBE-GGA level of DFT.

Cell lengths 9.265, 9.282, 23.269 Å; angles 90.14, 89.85, 119.82 degrees
Fractional coordinates of all 117 atoms:
Na: 0.997 0.635 0.260
Na: 0.303 0.346 0.589
Na: 0.023 0.687 0.578
Na: 0.671 0.955 0.575
Na: 0.666 0.697 0.078
Na: 0.039 0.346 0.083
Na: 0.992 0.685 0.909
Na: 0.320 0.295 0.902
Na: 0.694 0.683 0.419
Na: 0.994 0.002 0.493
Na: 0.000 0.990 0.992
Na: 0.650 0.315 0.820
Na: 0.654 0.290 0.336
Na: 0.336 0.683 0.176
Na: 0.332 0.643 0.670
Ca: 0.003 0.009 0.351
Ca: 0.993 0.004 0.846
Ca: 0.002 0.009 0.657
Ca: 0.006 0.997 0.148
Ca: 0.668 0.341 0.687
Ca: 0.659 0.327 0.186
Ca: 0.333 0.677 0.015
Ca: 0.327 0.667 0.510
Ca: 0.335 0.673 0.325
Hf: 0.670 0.332 0.976
Hf: 0.682 0.337 0.482
Hf: 0.338 0.666 0.820
P: 0.310 0.317 0.754
P: 0.963 0.332 0.584
P: 0.666 0.628 0.581
P: 0.952 0.622 0.082
P: 0.630 0.660 0.922
P: 0.037 0.375 0.921
P: 0.337 0.968 0.917
P: 0.641 0.977 0.422
P: 0.016 0.664 0.418
S: 0.300 0.993 0.250
S: 0.695 0.698 0.248
S: 0.006 0.311 0.246
S: 0.013 0.694 0.754
S: 0.679 0.987 0.751
S: 0.375 0.044 0.582
S: 0.672 0.044 0.080
S: 0.374 0.333 0.079
S: 0.345 0.361 0.421
O: 0.212 0.003 0.301
O: 0.798 0.790 0.299
O: 0.002 0.211 0.295
O: 0.218 0.213 0.807
O: 0.995 0.778 0.805
O: 0.786 0.004 0.800
O: 0.745 0.962 0.696
O: 0.213 0.246 0.698
O: 0.033 0.789 0.701
O: 0.775 0.791 0.194
O: 0.011 0.234 0.190
O: 0.206 0.985 0.197
O: 0.879 0.350 0.638
O: 0.471 0.118 0.634
O: 0.642 0.521 0.633
O: 0.868 0.526 0.137
O: 0.656 0.119 0.133
O: 0.466 0.340 0.130
O: 0.462 0.320 0.026
O: 0.837 0.513 0.028
O: 0.672 0.143 0.028
O: 0.468 0.148 0.531
O: 0.676 0.532 0.525
O: 0.852 0.324 0.531
O: 0.567 0.684 0.979
O: 0.128 0.441 0.977
O: 0.303 0.866 0.971
O: 0.567 0.876 0.477
O: 0.325 0.434 0.475
O: 0.114 0.679 0.473
O: 0.092 0.639 0.362
O: 0.532 0.893 0.370
O: 0.374 0.473 0.372
O: 0.136 0.505 0.871
O: 0.362 0.875 0.865
O: 0.505 0.637 0.872
O: 0.981 0.809 0.415
O: 0.816 0.998 0.416
O: 0.202 0.194 0.414
O: 0.015 0.204 0.910
O: 0.189 0.998 0.909
O: 0.810 0.795 0.911
O: 0.973 0.170 0.583
O: 0.209 0.035 0.583
O: 0.832 0.798 0.582
O: 0.955 0.790 0.078
O: 0.835 0.046 0.078
O: 0.202 0.189 0.078
O: 0.654 0.131 0.749
O: 0.487 0.345 0.753
O: 0.870 0.524 0.752
O: 0.691 0.535 0.248
O: 0.855 0.332 0.249
O: 0.470 0.137 0.249
O: 0.628 0.486 0.923
O: 0.862 0.368 0.923
O: 0.500 0.145 0.922
O: 0.658 0.155 0.427
O: 0.502 0.348 0.425
O: 0.835 0.501 0.423
O: 0.365 0.489 0.077
O: 0.124 0.635 0.078
O: 0.536 0.870 0.077
O: 0.350 0.873 0.577
O: 0.514 0.655 0.577
O: 0.139 0.486 0.579
O: 0.306 0.835 0.251
O: 0.525 0.674 0.251
O: 0.155 0.482 0.248
O: 0.324 0.495 0.763
O: 0.171 0.683 0.761
O: 0.511 0.832 0.760

## Properties
- Crystal system: triclinic
- Magnetic moment: 0.00 μB per formula unit
- Space-group type: P1 (1)
- DFT formation energy: -2.73 eV per atom
- Uncorrected energy: -6.666 eV/atom

***

[4]
Computed, not measured: a relaxed structure of Na2CaHfP2SO12 at the PBE-GGA level of DFT.

Cell lengths 9.112, 9.151, 23.050 Å; angles 90.49, 90.00, 119.86 degrees
Fractional coordinates of all 114 atoms:
Na: 0.994 0.633 0.243
Na: 0.640 0.633 0.743
Na: 0.660 0.967 0.577
Na: 0.306 0.967 0.077
Na: 0.327 0.300 0.910
Na: 0.973 0.300 0.410
Na: 0.996 0.970 0.495
Na: 0.974 0.970 0.995
Na: 0.662 0.303 0.828
Na: 0.641 0.303 0.328
Na: 0.329 0.636 0.161
Na: 0.307 0.636 0.661
Ca: 0.998 0.997 0.352
Ca: 0.999 0.997 0.852
Ca: 0.665 0.330 0.685
Ca: 0.666 0.330 0.185
Ca: 0.331 0.664 0.019
Ca: 0.332 0.664 0.519
Hf: 0.001 0.010 0.649
Hf: 0.009 0.010 0.149
Hf: 0.667 0.343 0.983
Hf: 0.676 0.343 0.483
Hf: 0.334 0.677 0.316
Hf: 0.343 0.677 0.816
P: 0.294 0.994 0.251
P: 0.011 0.304 0.254
P: 0.293 0.304 0.754
P: 0.700 0.994 0.751
P: 0.960 0.327 0.584
P: 0.678 0.638 0.588
P: 0.960 0.638 0.088
P: 0.367 0.327 0.084
P: 0.627 0.660 0.917
P: 0.344 0.971 0.921
P: 0.627 0.971 0.421
P: 0.033 0.660 0.417
S: 0.700 0.712 0.249
S: 0.012 0.712 0.749
S: 0.367 0.045 0.583
S: 0.679 0.045 0.083
S: 0.033 0.379 0.916
S: 0.345 0.379 0.416
O: 0.205 0.007 0.303
O: 0.798 0.787 0.302
O: 0.989 0.211 0.310
O: 0.223 0.211 0.810
O: 0.989 0.787 0.802
O: 0.803 0.007 0.803
O: 0.789 0.967 0.695
O: 0.176 0.200 0.701
O: 0.032 0.819 0.697
O: 0.788 0.819 0.197
O: 0.024 0.200 0.201
O: 0.177 0.967 0.195
O: 0.871 0.341 0.637
O: 0.465 0.120 0.635
O: 0.655 0.545 0.644
O: 0.889 0.545 0.144
O: 0.655 0.120 0.135
O: 0.469 0.341 0.137
O: 0.456 0.300 0.028
O: 0.842 0.533 0.034
O: 0.698 0.153 0.031
O: 0.454 0.153 0.531
O: 0.691 0.533 0.534
O: 0.844 0.300 0.528
O: 0.538 0.674 0.970
O: 0.131 0.453 0.968
O: 0.322 0.878 0.977
O: 0.556 0.878 0.477
O: 0.322 0.453 0.468
O: 0.136 0.674 0.470
O: 0.123 0.633 0.361
O: 0.509 0.867 0.367
O: 0.365 0.486 0.364
O: 0.121 0.486 0.864
O: 0.358 0.867 0.867
O: 0.511 0.633 0.861
O: 0.999 0.805 0.412
O: 0.809 0.009 0.413
O: 0.196 0.210 0.410
O: 0.014 0.210 0.910
O: 0.200 0.009 0.913
O: 0.806 0.805 0.912
O: 0.963 0.153 0.588
O: 0.195 0.031 0.587
O: 0.848 0.815 0.590
O: 0.967 0.815 0.090
O: 0.836 0.031 0.087
O: 0.190 0.153 0.088
O: 0.666 0.138 0.745
O: 0.476 0.343 0.747
O: 0.862 0.543 0.743
O: 0.681 0.543 0.243
O: 0.867 0.343 0.247
O: 0.472 0.138 0.245
O: 0.629 0.486 0.921
O: 0.862 0.364 0.920
O: 0.515 0.148 0.923
O: 0.633 0.148 0.423
O: 0.502 0.364 0.420
O: 0.857 0.486 0.421
O: 0.333 0.472 0.078
O: 0.143 0.676 0.080
O: 0.529 0.877 0.076
O: 0.348 0.877 0.576
O: 0.533 0.676 0.580
O: 0.139 0.472 0.578
O: 0.296 0.820 0.255
O: 0.529 0.698 0.253
O: 0.181 0.481 0.256
O: 0.300 0.481 0.756
O: 0.169 0.698 0.753
O: 0.523 0.820 0.755

## Properties
- Magnetic moment: 0.00 μB per formula unit
- DFT formation energy: -2.85 eV per atom
- Uncorrected energy: -7.095 eV/atom